Entry 1:
Computed, not measured: an optimized crystal structure of SmIn2Cu9 at the PBE-GGA level of DFT.

Cell: 8.465 8.465 5.024 Å, 90.00 90.00 90.00°
Space group P4/mbm (No. 127)
Asymmetric unit:
1 Sm 0.000 0.000 0.000
2 In 0.123 0.377 0.000
3 Cu 0.000 0.500 0.500
4 Cu 0.063 0.206 0.500
5 Cu 0.177 0.677 0.246

Calculated volume   360 Å³ per cell
Size of the total moment   0.00 μB per formula unit
Formation energy from the elements   -131 meV per atom

Entry 2:
Computed, not measured: an optimized crystal structure of Ta2InCuTe4 at the PBE-GGA level of DFT.

Cell: 6.545 6.545 12.530 Å, 90.00 90.00 90.00°
Space group I-42m (No. 121)
Asymmetric unit:
1 Ta 0.000 0.500 0.250
2 In 0.000 0.000 0.000
3 Cu 0.000 0.000 0.500
4 Te 0.214 0.214 0.637

Calculated volume   537 Å³ per cell
Size of the total moment   3.96 μB per formula unit
Formation energy from the elements   108 meV per atom

Entry 3:
Computed, not measured: an optimized crystal structure of Tb2InCu2 at the PBE-GGA level of DFT.

Cell: 7.639 7.639 3.646 Å, 90.00 90.00 90.00°
Space group P4/mbm (No. 127)
Asymmetric unit:
1 Tb 0.174 0.326 0.000
2 In 0.000 0.000 0.500
3 Cu 0.119 0.619 0.500

Calculated volume   213 Å³ per cell
Formation energy from the elements   -385 meV per atom

Entry 4:
Computed, not measured: an optimized crystal structure of TbInCu at the PBE-GGA level of DFT.

Cell: 7.4630 7.4630 3.9773 Å, 90.00 90.00 120.00°
Space group P-62m (No. 189)
Asymmetric unit:
1 Tb 0.0000 0.4105 0.0000
2 In 0.0000 0.7466 0.5000
3 Cu 0.0000 0.0000 0.0000
4 Cu 0.3333 0.6667 0.5000

Calculated volume   192 Å³ per cell
Formation energy from the elements   -414 meV per atom

Number 1: energy -4.06 eV/atom. Number 2: energy -5.07 eV/atom. Number 3: energy -4.43 eV/atom. Number 4: energy -4.24 eV/atom.